Entry 1:
DFT (r2SCAN) results for an optimized crystal structure of SmInAu2.

The space group is Fm-3m (No. 225) and the conventional cell measures 7.030, 7.030 and 7.030 Å, with angles of 90.00, 90.00 and 90.00 degrees. The inequivalent atoms are Sm at (0.000, 0.000, 0.000), In at (0.000, 0.000, 0.500) and Au at (0.250, 0.250, 0.250).

The value obtained for the formation energy is -0.79 eV per atom. Its crystal system is cubic. As for the magnetic moment: 0.0 μB/f.u. The value obtained for the volume is 21.72 A^3/atom.


Entry 2:
DFT (r2SCAN) results for an optimized crystal structure of In3SnAu4.

The space group is Pmm2 (No. 25) and the conventional cell measures 3.769, 4.240 and 10.684 Å, with angles of 90.00, 90.00 and 90.00 degrees. The inequivalent atoms are In at (0.000, 0.000, 0.000), In at (0.000, 0.500, 0.286), In at (0.500, 0.500, 0.790), Sn at (0.500, 0.000, 0.499), Au at (0.000, 0.000, 0.738), Au at (0.000, 0.500, 0.550), Au at (0.500, 0.000, 0.236) and Au at (0.500, 0.500, 0.053).

The value obtained for the formation energy is -0.23 eV per atom. Its crystal system is orthorhombic. As for the magnetic moment: 0.0 μB/f.u. The value obtained for the volume is 21.34 A^3/atom.


Entry 3:
DFT (r2SCAN) results for an optimized crystal structure of SrIn3Au3.

The space group is Pmmn (No. 59, origin choice 2) and the conventional cell measures 4.592, 7.824 and 9.165 Å, with angles of 90.00, 90.00 and 90.00 degrees. The inequivalent atoms are Sr at (0.250, 0.250, 0.227), In at (0.250, 0.053, 0.614), In at (0.250, 0.750, 0.130), Au at (0.250, 0.020, 0.910) and Au at (0.250, 0.750, 0.450).

The value obtained for the formation energy is -0.56 eV per atom. Its crystal system is orthorhombic. As for the magnetic moment: 0.0 μB/f.u. The value obtained for the volume is 23.52 A^3/atom.


Entry 4:
DFT (r2SCAN) results for an optimized crystal structure of Sr2In4Au3.

The space group is P-62m (No. 189) and the conventional cell measures 15.0677, 15.0677 and 4.6159 Å, with angles of 90.00, 90.00 and 120.00 degrees. The inequivalent atoms are Sr at (0.0000, 0.4515, 0.0000), Sr at (0.0000, 0.8196, 0.5000), Sr at (0.3333, 0.6667, 0.0000), In at (0.0000, 0.0000, 0.0000), In at (0.0000, 0.2788, 0.5000), In at (0.1234, 0.6497, 0.5000), In at (0.1837, 0.3826, 0.0000), Au at (0.0000, 0.1797, 0.0000), Au at (0.0000, 0.6565, 0.0000) and Au at (0.1710, 0.4903, 0.5000).

The value obtained for the formation energy is -0.65 eV per atom. Its crystal system is hexagonal. As for the magnetic moment: 0.0 μB/f.u. The value obtained for the volume is 25.21 A^3/atom.


Entry 5:
DFT (r2SCAN) results for an optimized crystal structure of ThInAu2.

The space group is Fm-3m (No. 225) and the conventional cell measures 7.146, 7.146 and 7.146 Å, with angles of 90.00, 90.00 and 90.00 degrees. The inequivalent atoms are Th at (0.000, 0.000, 0.000), In at (0.000, 0.000, 0.500) and Au at (0.250, 0.250, 0.250).

The value obtained for the formation energy is -0.71 eV per atom. Its crystal system is cubic. As for the magnetic moment: 0.0 μB/f.u. The value obtained for the volume is 22.81 A^3/atom.


Entry 6:
DFT (r2SCAN) results for an optimized crystal structure of TmInAu2.

The space group is Fm-3m (No. 225) and the conventional cell measures 6.883, 6.883 and 6.883 Å, with angles of 90.00, 90.00 and 90.00 degrees. The inequivalent atoms are Tm at (0.000, 0.000, 0.000), In at (0.000, 0.000, 0.500) and Au at (0.250, 0.250, 0.250).

The value obtained for the formation energy is -0.78 eV per atom. Its crystal system is cubic. As for the magnetic moment: 0.0 μB/f.u. The value obtained for the volume is 20.38 A^3/atom.